SmErMn4 | PBE | optimized geometry

The value obtained for the energy of formation is 175 meV/atom. The symmetry is F-43m (216). As for the crystal system: cubic.

abc: 5.159 5.159 5.159
angles: 60.00 60.00 60.00
Sites, in units of the cell vectors:
Mn  0.625  0.625  0.625
Mn  0.625  0.625  0.125
Mn  0.125  0.625  0.625
Mn  0.625  0.125  0.625
Er  0.250  0.250  0.250
Sm  0.000  0.000  0.000

RbBaPO4 | PBE | optimized geometry

The value obtained for the energy of formation is -3028 meV/atom. The symmetry is Pnma (62). As for the crystal system: orthorhombic.

abc: 5.806 7.950 10.262
angles: 90.00 90.00 90.00
Sites, in units of the cell vectors:
Rb  0.750  0.156  0.416
Rb  0.750  0.656  0.084
Rb  0.250  0.344  0.916
Rb  0.250  0.844  0.584
O  0.250  0.200  0.443
O  0.971  0.791  0.342
O  0.971  0.291  0.158
O  0.750  0.533  0.419
O  0.529  0.291  0.158
O  0.471  0.209  0.658
O  0.250  0.967  0.919
O  0.750  0.300  0.943
O  0.029  0.709  0.842
O  0.029  0.209  0.658
O  0.750  0.033  0.081
O  0.250  0.467  0.581
O  0.529  0.791  0.342
O  0.750  0.800  0.557
O  0.250  0.700  0.057
O  0.471  0.709  0.842
Ba  0.750  0.999  0.808
Ba  0.250  0.501  0.308
Ba  0.750  0.499  0.692
Ba  0.250  0.001  0.192
P  0.250  0.770  0.914
P  0.250  0.270  0.586
P  0.750  0.730  0.414
P  0.750  0.230  0.086

Zr3Ni | PBE | optimized geometry

The value obtained for the energy of formation is 26 meV/atom. The symmetry is P6_3/mmc (194). As for the crystal system: hexagonal.

abc: 6.064 6.064 4.896
angles: 90.00 90.00 120.00
Sites, in units of the cell vectors:
Zr  0.349  0.174  0.750
Zr  0.174  0.349  0.250
Zr  0.826  0.651  0.750
Zr  0.651  0.826  0.250
Zr  0.826  0.174  0.750
Zr  0.174  0.826  0.250
Ni  0.333  0.667  0.750
Ni  0.667  0.333  0.250

Cu3Bi2S3Br2 | PBE | optimized geometry

The value obtained for the energy of formation is -570 meV/atom. The symmetry is P2_1/c (14). As for the crystal system: monoclinic.

abc: 30.247 3.820 8.184
angles: 88.20 90.00 90.00
Sites, in units of the cell vectors:
Cu  0.770  0.999  0.091
Cu  0.230  0.001  0.909
Cu  0.603  0.998  0.555
Cu  0.730  0.999  0.591
Cu  0.281  0.500  0.708
Cu  0.103  0.002  0.945
Cu  0.781  0.500  0.792
Cu  0.219  0.500  0.208
Cu  0.719  0.500  0.292
Cu  0.397  0.002  0.445
Cu  0.897  0.998  0.055
Cu  0.270  0.001  0.409
Br  0.063  0.998  0.528
Br  0.842  0.997  0.778
Br  0.937  0.002  0.472
Br  0.563  0.002  0.972
Br  0.658  0.997  0.278
Br  0.158  0.003  0.222
Br  0.342  0.003  0.722
Br  0.437  0.998  0.028
Bi  0.849  0.496  0.441
Bi  0.151  0.504  0.559
Bi  0.505  0.597  0.273
Bi  0.005  0.403  0.227
Bi  0.349  0.504  0.059
Bi  0.495  0.403  0.727
Bi  0.995  0.597  0.773
Bi  0.651  0.496  0.941
S  0.937  0.500  0.023
S  0.664  0.006  0.715
S  0.336  0.994  0.285
S  0.738  0.502  0.016
S  0.762  0.502  0.516
S  0.063  0.500  0.977
S  0.164  0.994  0.785
S  0.238  0.498  0.484
S  0.836  0.006  0.215
S  0.563  0.500  0.523
S  0.437  0.500  0.477
S  0.262  0.498  0.984